## Li4Fe7O12 (PBE+U)

Data for an optimized crystal structure of Li4Fe7O12.

a b c (Å): 9.0164 5.1854 9.8394
angles (deg): 79.24 90.00 90.00
Closest atoms and distances in Å follow each position.
Element x y z (fractional)
O  0.0910  0.8714  0.6180  3 Fe 2.03-2.11, 3 Li 2.07-2.20
Fe  0.4205  0.7472  0.9959  6 O 2.00-2.11
Li  0.9202  0.4918  0.2583  6 O 2.05-2.27
O  0.5906  0.3891  0.6149  3 Fe 2.01-2.06, 2 Li 2.02-2.14
O  0.4106  0.1116  0.8845  4 Fe 2.00-2.13
Fe  0.0783  0.7578  0.0033  6 O 2.00-2.11
O  0.7667  0.8649  0.6211  3 Fe 1.99-2.06, 2 Li 2.04-2.16
Li  0.9163  0.0043  0.7444  6 O 2.04-2.22
O  0.7563  0.1560  0.8818  4 Fe 2.03-2.16, 1 Li 2.22
O  0.9017  0.3879  0.6232  3 Fe 2.03-2.06, 3 Li 2.12-2.26
O  0.0814  0.1168  0.8780  4 Fe 2.03-2.17, 2 Li 2.14-2.18
Fe  0.7470  0.7550  0.9924  6 O 2.11-2.24
O  0.2602  0.3665  0.6272  2 Fe 1.98-2.06, 2 Li 2.05-2.16
O  0.9198  0.6122  0.8795  4 Fe 2.03-2.22, 2 Li 2.13-2.21
O  0.4017  0.6121  0.3768  3 Fe 2.03-2.06, 3 Li 2.12-2.26
O  0.2563  0.8440  0.1182  4 Fe 2.03-2.16, 1 Li 2.22
O  0.5814  0.8832  0.1220  4 Fe 2.03-2.17, 2 Li 2.14-2.18
O  0.5805  0.6011  0.8793  4 Fe 2.00-2.11, 1 Li 2.10
O  0.7488  0.3507  0.1220  4 Fe 2.05-2.24, 2 Li 2.21-2.26
O  0.3977  0.8855  0.6183  3 Fe 1.99-2.03, 2 Li 2.11-2.19
Fe  0.7477  0.2385  0.5073  6 O 2.01-2.22
Fe  0.4237  0.2511  0.5044  6 O 2.03-2.10
Li  0.0834  0.5033  0.7444  6 O 2.08-2.21
Li  0.5824  0.7573  0.5032  5 O 2.02-2.22
O  0.2667  0.1351  0.3789  3 Fe 1.99-2.06, 2 Li 2.04-2.16
Li  0.0824  0.2427  0.4968  5 O 2.02-2.22
O  0.9106  0.8884  0.1155  4 Fe 2.00-2.13
O  0.4198  0.3878  0.1205  4 Fe 2.03-2.22, 2 Li 2.13-2.21
O  0.7602  0.6335  0.3728  2 Fe 1.98-2.06, 2 Li 2.05-2.16
Fe  0.7515  0.9891  0.2571  6 O 1.98-2.17
Fe  0.2470  0.2450  0.0076  6 O 2.11-2.24
Fe  0.2418  0.4867  0.2585  6 O 1.99-2.22
Fe  0.7418  0.5133  0.7415  6 O 1.99-2.22
Li  0.5834  0.4967  0.2556  6 O 2.08-2.21
O  0.5910  0.1286  0.3820  3 Fe 2.03-2.11, 3 Li 2.07-2.20
O  0.0805  0.3989  0.1207  4 Fe 2.00-2.11, 1 Li 2.10
O  0.8977  0.1145  0.3817  3 Fe 1.99-2.03, 2 Li 2.11-2.19
Fe  0.5783  0.2422  0.9967  6 O 2.00-2.11
Fe  0.2515  0.0109  0.7429  6 O 1.98-2.17
O  0.2488  0.6493  0.8780  4 Fe 2.05-2.24, 2 Li 2.21-2.26
Fe  0.9205  0.2528  0.0041  6 O 2.00-2.11
Fe  0.9237  0.7489  0.4956  6 O 2.03-2.10
O  0.0906  0.6109  0.3851  3 Fe 2.01-2.06, 2 Li 2.02-2.14
Li  0.4163  0.9957  0.2556  6 O 2.04-2.22
Fe  0.2477  0.7615  0.4927  6 O 2.01-2.22
Li  0.4202  0.5082  0.7417  6 O 2.05-2.27

Properties
**Uncorrected energy**: -287.3 eV per cell
**Energy of formation**: -1798 meV/atom
**Density**: 4488 kg/m3